DFT (r2SCAN) results for HoMgHg2 after structural relaxation.

Properties
ΔH_f (0 K)	-0.51	eV/atom
V	89.1	Å³/f.u.
size of the total moment	0.000	μB/f.u.
space-group type	No. 225

Cell and atoms, written as POSCAR:
```
HoMgHg2
1.0
-3.2738 -2.5553 2.8079
-3.9467 2.3480 2.0105
-4.6130 -0.9154 -1.7362
Mg Hg Ho
1 2 1
Direct
0.7500 0.7500 0.7500
0.0000 0.0000 0.0000
0.5000 0.5000 0.5000
0.2500 0.2500 0.2500
```


DFT (r2SCAN) results for SmNiC2 after structural relaxation.

Properties
ΔH_f (0 K)	-0.40	eV/atom
V	51.1	Å³/f.u.
size of the total moment	0.000	μB/f.u.
space-group type	No. 38

Cell and atoms, written as POSCAR:
```
SmNiC2
1.0
2.2501 -3.0250 0.0000
2.2501 3.0250 0.0000
0.0000 0.0000 3.7547
C Ni Sm
2 1 1
Direct
0.4531 0.8499 0.5000
0.1501 0.5469 0.5000
0.6114 0.3886 0.5000
0.0004 0.9996 0.0000
```